A plane-wave DFT calculation with PBE-GGA was carried out for a geometry-optimized InH9N3Cl3 structure.

## Properties
M_tot ... 0.001 μB per formula unit
Energy with MP2020 corrections ... -4.73 eV per atom
Final energy ... -147.72 eV/cell
Energy relative to the elements ... -11.86 eV/f.u.

Lattice parameters (Å, degrees): 5.9981 6.9518 10.0056 86.24 86.70 85.40
Last column: nearest neighbours and their distance in Å.
Space group P-1 (No. 2)
Symmetry-distinct sites (fractional):
In1 0.0000 0.0000 0.0000 (multiplicity 1)  4 N 2.27-2.28
In2 0.5000 0.5000 0.5000 (multiplicity 1)  2 N 2.24
H1 0.0861 0.0307 0.7210 (multiplicity 2)  1 N 1.03
H2 0.0952 0.3500 0.4535 (multiplicity 2)  1 N 1.02
H3 0.0961 0.6220 0.1076 (multiplicity 2)  1 N 1.02
H4 0.2619 0.3243 0.3163 (multiplicity 2)  1 N 1.03
H5 0.2722 0.8628 0.7825 (multiplicity 2)  1 N 1.03
H6 0.2932 0.1705 0.4483 (multiplicity 2)  1 N 1.03
H7 0.2931 0.7538 0.1540 (multiplicity 2)  1 N 1.03
H8 0.3089 0.6738 0.0012 (multiplicity 2)  1 N 1.03
H9 0.3105 0.0969 0.7903 (multiplicity 2)  1 N 1.02
N1 0.1935 0.9973 0.7969 (multiplicity 2)  3 H 1.02-1.03
N2 0.2002 0.7271 0.0751 (multiplicity 2)  3 H 1.02-1.03
N3 0.2565 0.3138 0.4196 (multiplicity 2)  3 H 1.02-1.03
Cl1 0.2619 0.8091 0.4173 (multiplicity 2)  4 H 2.57-2.71, 1 In 2.60
Cl2 0.2713 0.4975 0.7266 (multiplicity 2)  1 In 2.58, 3 H 2.64-2.83
Cl3 0.2845 0.2110 0.0881 (multiplicity 2)  2 H 2.46-2.71, 1 In 2.57